! PBE-GGA Na2Ta4Zn4Si3S9O48, relaxed; values from VASP
&SYSTEM
  ibrav = 0, nat = 210, ntyp = 6
/
ATOMIC_SPECIES
Na 22.99 Na.upf
Ta 180.95 Ta.upf
Zn 65.41 Zn.upf
Si 28.09 Si.upf
S 32.06 S.upf
O 16.00 O.upf
CELL_PARAMETERS angstrom
17.5813 -0.0297 0.0049
-4.4081 7.6212 0.0001
0.0073 0.0050 22.6992
ATOMIC_POSITIONS angstrom
Na 13.1612 7.5827 11.3620
Na 8.7857 0.0005 22.6170
Na 4.4270 2.5542 19.0459
Na 13.1153 2.5205 19.0128
Na 4.4329 2.5564 7.7370
Na 13.1968 2.5052 7.7497
Ta 8.7476 0.0517 8.0744
Ta 13.2095 7.5155 19.3862
Ta 8.8386 0.0764 14.5802
Ta 17.5787 -0.0255 3.2110
Ta 4.4217 2.5693 15.5353
Ta 13.1244 2.5198 15.6943
Ta 4.4314 2.5341 4.2569
Ta 13.1942 2.5050 4.1682
Ta -0.0049 5.0207 0.5247
Ta 8.7892 5.0908 0.4878
Ta 0.0172 5.0568 11.8887
Ta 8.7560 5.0945 11.9235
Zn 13.1501 7.5725 8.0426
Zn 8.8127 0.0462 19.2556
Zn -4.3702 7.5827 14.8070
Zn 8.7780 0.0487 3.4633
Zn 4.3160 2.5496 22.2859
Zn 13.3103 2.5349 22.3779
Zn 4.4412 2.6571 11.0803
Zn 13.1840 2.4548 10.9963
Zn -0.0609 5.0337 7.1268
Zn 8.7947 5.0396 7.0565
Zn 0.0076 5.1215 18.3788
Zn 8.7503 4.9306 18.3490
Si 7.5637 2.2634 5.6256
Si 9.9837 2.1840 17.1472
Si -3.0138 5.4223 16.9414
Si 6.8930 2.4892 13.1204
Si 11.9645 0.4047 13.1934
Si 3.1378 4.7343 13.2209
Si 14.4149 4.6966 1.7955
Si 14.4151 0.3135 1.8444
Si 1.9315 2.5442 1.8510
S -1.8691 7.6124 5.7068
S 11.3410 0.0015 5.6894
S 3.0993 5.3887 5.6891
S 11.9356 5.3967 5.7082
S 16.2853 2.1758 5.7147
S 1.2967 2.2034 17.0305
S 5.6231 5.3999 17.0622
S 6.2450 0.0001 17.0348
S 15.0302 -0.0091 17.0416
S 15.7531 2.4670 13.2249
S 3.0765 0.3370 13.1719
S 11.9567 4.7548 13.1809
S 5.6531 4.7690 1.8766
S 5.7123 0.3374 1.8257
S 10.6141 2.4766 1.8253
S 2.5513 5.1136 20.7593
S 11.3211 5.0427 20.7708
S -1.2670 2.8814 20.7522
S 7.4606 2.8371 20.8418
S -1.2452 7.3075 20.7668
S 7.5068 7.2739 20.7727
S 1.2233 7.2696 9.4040
S 10.0761 7.2541 9.4137
S 1.2730 2.8559 9.4343
S 10.1083 2.8878 9.4171
S -2.5809 5.0712 9.4509
S 6.2500 5.0679 9.4148
O 1.7658 0.3162 6.9085
O 10.4082 0.2024 6.8937
O 3.7736 6.0219 6.9013
O 12.6168 5.9063 6.9055
O 7.8090 1.1970 6.9773
O 16.4381 1.3538 6.9157
O 1.0011 1.2895 18.2442
O 10.0044 1.2613 18.4532
O 4.9451 5.8626 18.2714
O 13.7481 6.1317 18.3222
O 6.9861 0.3380 18.2571
O 15.9522 0.2388 18.2581
O 2.6963 7.4903 15.8456
O 11.4119 7.4527 15.8268
O 0.7132 1.6429 15.8219
O 9.4169 1.3639 15.8342
O -3.3634 6.2993 15.6841
O 5.2871 6.1715 15.8582
O 3.3580 6.1372 4.4738
O 12.2788 6.2310 4.5186
O -0.7439 1.5262 4.5109
O 8.1133 1.5399 4.3429
O -2.7472 7.4673 4.5195
O 6.1598 7.4048 4.4767
O 5.9309 2.7608 14.4687
O 14.9433 2.7669 14.4215
O 3.7261 0.9109 14.4011
O 12.7073 1.0758 14.4944
O 3.3213 3.6999 14.5267
O 12.1762 3.9087 14.3970
O 5.4526 3.8834 3.1057
O 14.1560 3.7254 3.1448
O 5.0854 0.9919 3.0604
O 13.6823 0.9901 3.1918
O 2.8709 2.8069 3.1889
O 11.4714 2.7320 3.0720
O 2.7440 2.1812 0.5689
O 11.4325 2.2969 0.6435
O 5.0589 4.1727 0.6946
O 13.6672 4.1997 0.5220
O 5.5171 1.1753 0.6564
O 14.2933 1.1647 0.5476
O 3.3304 1.1118 11.9725
O 12.0595 1.2432 11.8731
O 3.7303 4.1954 11.8774
O 12.5693 4.1833 11.9897
O 6.0945 2.1528 11.8203
O 14.9772 2.2682 12.0075
O 1.6247 5.2433 21.9980
O 10.4840 5.2278 22.0402
O -0.6847 3.5346 22.0210
O 8.0603 3.5846 22.0720
O -1.0449 6.4768 22.0015
O 7.9313 6.3870 22.0398
O 0.9772 6.4403 10.6393
O 9.7408 6.3978 10.6330
O 0.6892 3.6113 10.6591
O 9.4779 3.4589 10.6362
O -1.6554 5.2202 10.6565
O 7.0878 5.2630 10.6603
O -1.7767 4.8897 8.2337
O 7.0992 4.9276 8.2491
O 0.6939 6.6164 8.2140
O 9.5323 6.6229 8.2118
O 1.0020 3.6578 8.2361
O 9.8281 3.6619 8.2250
O -0.9523 3.7038 19.6075
O 7.7081 3.6428 19.6560
O -0.6966 6.6704 19.5926
O 8.0626 6.6048 19.6083
O 1.7144 4.9351 19.5791
O 10.4695 4.9305 19.6138
O -3.3769 6.3226 9.4172
O 5.4100 6.3303 9.2670
O 2.7598 7.3165 9.2808
O 11.5652 7.3271 9.4091
O 0.5610 1.5561 9.4323
O 9.4460 1.4808 9.2536
O -0.5898 1.5387 20.6472
O 8.1299 1.5288 20.8535
O -2.7792 7.4331 20.6146
O 6.0448 7.2676 20.8746
O 3.3483 6.3580 20.7520
O 12.1367 6.3410 20.6699
O 7.8824 1.2830 13.5196
O 16.6881 1.3535 13.4137
O 1.6429 0.1368 13.3444
O 10.4173 0.0633 13.5626
O 3.6695 6.1621 13.6880
O 12.4106 6.1333 13.3583
O 5.1197 6.1062 2.1157
O 13.8822 6.1643 2.2761
O 7.1302 0.0632 2.0299
O 15.9657 0.0741 2.2935
O 0.8960 1.3455 2.2817
O 9.7475 1.3231 2.0210
O 5.3186 1.2157 16.7931
O 14.2501 1.3002 16.9606
O 2.8137 2.1947 16.9495
O 11.6524 2.3247 16.7664
O 5.0093 3.9568 16.8469
O 13.7704 3.9302 16.8134
O 3.8004 4.0200 5.5808
O 12.5287 4.0031 5.4624
O 5.8697 2.3053 5.4869
O 14.7521 2.3077 5.5043
O 3.4312 1.2229 5.4464
O 12.1032 1.3251 5.6000
O 3.4083 3.9224 20.9188
O 12.2128 3.9045 20.9140
O 5.9972 2.7208 21.0305
O 14.8693 2.6718 20.8851
O 3.7074 1.0343 20.8992
O 12.5108 0.9804 20.9490
O 5.1063 0.9925 9.5298
O 13.8995 0.9800 9.5489
O 2.7199 2.6921 9.5873
O 11.5453 2.6728 9.5417
O 5.3503 3.9208 9.5231
O 14.1509 3.8476 9.6275
O 0.9669 3.8764 1.6239
O 9.7778 3.7318 1.6848
O -1.5437 4.8951 1.5936
O 7.1570 4.8376 1.7157
O 0.5686 6.6457 1.6707
O 9.3672 6.4239 1.6657
O -0.6667 6.5824 12.9939
O 8.2530 6.5169 12.9683
O 1.4817 4.8989 12.9826
O 10.4401 4.7912 12.9873
O -0.9798 3.7762 13.0004
O 7.8465 3.8300 12.9321
O -1.0003 6.4510 5.8118
O 7.8543 6.5507 5.9429
O 1.6837 5.1921 5.9261
O 10.4985 5.2891 5.7949
O -0.7276 3.5434 5.7969
O 8.0956 3.6929 5.9481
O 0.8170 3.5273 17.2987
O 9.4118 3.6575 17.1403
O -1.5166 5.1992 17.3008
O 7.0574 5.2521 17.1607
O 1.0056 6.4408 17.1374
O 9.7447 6.5188 17.3003
! Energy (eV/atom): -6.779
! Size of the total moment (μB per atom): 0.000
! V (Å³/atom): 14.5
! DFT formation energy (kcal/mol of atoms): -53.17